(1)
ZnFeSb2 | GGA-PBE | relaxed

## Properties
Spin magnetization, Bohr magnetons per cell: 1.29
Corrected total energy (MP2020 scheme), eV/cell: -18.25
Energy of formation, meV/atom: -66
E_tot, eV/atom: -4.47

Lattice parameters (Å, degrees): 4.2276 4.2276 5.1762 90.00 90.00 120.00
With the nearest neighbours (Å) after each atom.
Space group P-3m1 (No. 164)
Symmetry-distinct sites (fractional):
1 Zn 0.0000 0.0000 0.0000 x1  2 Fe 2.59, 6 Sb 2.89
2 Fe 0.0000 0.0000 0.5000 x1  2 Zn 2.59, 6 Sb 2.65
3 Sb 0.3333 0.6667 0.2997 x2  3 Fe 2.65, 3 Zn 2.89

=====

(2)
Zr3Fe2Sb3 | GGA-PBE | relaxed

## Properties
Spin magnetization, Bohr magnetons per cell: 4.99
Corrected total energy (MP2020 scheme), eV/cell: -237.92
Energy of formation, meV/atom: -564
E_tot, eV/atom: -7.36

Lattice parameters (Å, degrees): 6.8476 4.3098 22.0704 90.00 90.22 90.00
With the nearest neighbours (Å) after each atom.
Space group Pm (No. 6)
Symmetry-distinct sites (fractional):
1 Zr 0.0000 0.0000 0.0000 x1  3 Fe 2.78-2.81, 5 Sb 2.95-3.03
2 Zr 0.0000 0.0000 0.3342 x1  3 Fe 2.79-2.83, 5 Sb 2.94-3.03
3 Zr 0.0075 0.0000 0.6648 x1  1 Fe 2.76, 6 Sb 2.94-3.06
4 Zr 0.0151 0.5000 0.4854 x1  2 Fe 2.74, 5 Sb 3.00-3.03
5 Zr 0.0157 0.5000 0.8140 x1  3 Fe 2.81-2.85, 5 Sb 2.99-3.01
6 Zr 0.0181 0.5000 0.1491 x1  3 Fe 2.78-2.82, 5 Sb 2.99-3.01
7 Zr 0.5083 0.0000 0.6482 x1  1 Fe 2.75, 6 Sb 2.92-3.08
8 Zr 0.5104 0.5000 0.4994 x1  2 Fe 2.81, 6 Sb 3.00-3.10
9 Zr 0.5114 0.5000 0.1664 x1  2 Fe 2.82, 6 Sb 2.97-3.11
10 Zr 0.5145 0.0000 0.9800 x1  1 Fe 2.75, 5 Sb 2.96-3.01
11 Zr 0.5158 0.5000 0.8311 x1  2 Fe 2.78, 5 Sb 2.97-3.06
12 Zr 0.5168 0.0000 0.3149 x1  1 Fe 2.74, 5 Sb 2.97-3.00
13 Fe 0.1557 0.0000 0.5489 x1  4 Sb 2.58-2.65, 3 Zr 2.74-2.76
14 Fe 0.1576 0.0000 0.2160 x1  4 Sb 2.60-2.67, 3 Zr 2.78-2.83
15 Fe 0.1586 0.0000 0.8830 x1  4 Sb 2.58-2.67, 3 Zr 2.81
16 Fe 0.6535 0.0000 0.0972 x1  4 Sb 2.52-2.58, 3 Zr 2.75-2.82
17 Fe 0.6541 0.0000 0.7647 x1  4 Sb 2.57-2.58, 3 Zr 2.75-2.78
18 Fe 0.6556 0.0000 0.4313 x1  4 Sb 2.51-2.65, 3 Zr 2.74-2.81
19 Fe 0.8575 0.5000 0.9333 x1  4 Sb 2.57-2.66, 3 Zr 2.78-2.85
20 Fe 0.8591 0.5000 0.2667 x1  4 Sb 2.57-2.66, 3 Zr 2.79-2.82
21 Sb 0.2446 0.5000 0.6071 x1  2 Fe 2.58
22 Sb 0.2451 0.5000 0.9413 x1  3 Fe 2.58-2.66
23 Sb 0.2460 0.5000 0.2757 x1  3 Fe 2.60-2.66
24 Sb 0.2793 0.0000 0.7680 x1  2 Fe 2.57-2.67
25 Sb 0.2814 0.0000 0.4354 x1  2 Fe 2.56-2.65
26 Sb 0.2818 0.0000 0.1014 x1  2 Fe 2.55-2.67
27 Sb 0.7392 0.5000 0.0448 x1  3 Fe 2.52-2.59
28 Sb 0.7412 0.5000 0.3791 x1  3 Fe 2.51-2.61
29 Sb 0.7439 0.5000 0.7072 x1  2 Fe 2.58
30 Sb 0.7765 0.0000 0.5458 x1  2 Fe 2.60-2.65
31 Sb 0.7788 0.0000 0.2079 x1  4 Fe 2.57-2.60
32 Sb 0.7808 0.0000 0.8745 x1  4 Fe 2.57-2.59

=====

(3)
Zr5FeSb3 | GGA-PBE | relaxed

## Properties
Spin magnetization, Bohr magnetons per cell: 3.01
Corrected total energy (MP2020 scheme), eV/cell: -139.49
Energy of formation, meV/atom: -683
E_tot, eV/atom: -7.69

Lattice parameters (Å, degrees): 8.6735 8.6735 5.7990 90.00 90.00 120.00
With the nearest neighbours (Å) after each atom.
Space group P6_3/mcm (No. 193)
Symmetry-distinct sites (fractional):
1 Zr 0.0000 0.2557 0.2500 x6  2 Fe 2.65
2 Zr 0.3333 0.6667 0.0000 x4  2 Zr 2.90, 6 Sb 3.04
3 Fe 0.0000 0.0000 0.0000 x2  6 Zr 2.65, 2 Fe 2.90
4 Sb 0.0000 0.3910 0.7500 x6  9 Zr 2.98-3.13

=====

(4)
Sc29Fe6 | GGA-PBE | relaxed

## Properties
Spin magnetization, Bohr magnetons per cell: 0.24
Energy of formation, meV/atom: -42
E_tot, eV/atom: -6.74

Lattice parameters (Å, degrees): 14.3576 14.3576 14.3576 90.00 90.00 90.00
With the nearest neighbours (Å) after each atom.
Space group Pm-3 (No. 200)
Symmetry-distinct sites (fractional):
1 Sc 0.0000 0.0000 0.0000 x1  12 Sc 3.14
2 Sc 0.0000 0.0000 0.3751 x6  2 Fe 2.96, 10 Sc 3.13-3.31
3 Sc 0.0000 0.1121 0.1877 x12  1 Fe 2.39
4 Sc 0.0000 0.2497 0.5000 x6  2 Fe 2.55
5 Sc 0.0000 0.3943 0.3345 x12  3 Fe 2.78-2.88, 3 Sc 3.03-3.07
6 Sc 0.1057 0.5000 0.1525 x12  1 Fe 2.37
7 Sc 0.1126 0.2924 0.1837 x24  2 Fe 2.95-2.97, 9 Sc 3.02-3.23
8 Sc 0.1245 0.5000 0.5000 x6  2 Fe 2.86, 2 Sc 3.12
9 Sc 0.2009 0.3075 0.3883 x24  2 Fe 2.98-3.04, 8 Sc 3.13-3.31
10 Sc 0.3111 0.5000 0.3883 x12  1 Fe 2.37
11 Sc 0.5000 0.5000 0.5000 x1  12 Sc 3.15
12 Fe 0.0000 0.2009 0.3289 x12  2 Sc 2.39-2.55
13 Fe 0.1680 0.5000 0.3057 x12  2 Sc 2.37

=====

Look up the spin magnetization of the fourth one. 0.24 Bohr magnetons per cell